1.
Compound: KAgF3
Source: the Materials Project
Functional: PBE
Structure: relaxed

The value obtained for the density is 3.98 g cm⁻³. The calculation puts the formation energy at -2119 meV/atom.

Unit cell a=6.426 b=8.590 c=6.161 alpha=90.00 beta=90.00 gamma=90.00
Space group Pnma (No. 62)
Asymmetric unit:
1 K 0.053 0.250 0.010
2 Ag 0.000 0.000 0.500
3 F 0.020 0.750 0.429
4 F 0.191 0.535 0.774

***

2.
Compound: NaH
Source: the Materials Project
Functional: PBE
Structure: relaxed

The value obtained for the density is 1.42 g cm⁻³. The calculation puts the formation energy at -275 meV/atom. As for the polymorph energy (0 for the lowest one): 0.00 eV/f.u.

Unit cell a=4.827 b=4.827 c=4.827 alpha=90.00 beta=90.00 gamma=90.00
Space group Fm-3m (No. 225)
Asymmetric unit:
1 Na 0.000 0.000 0.000
2 H 0.000 0.000 0.500

***

3.
Compound: LiCeP4O12
Source: the Materials Project
Functional: PBE
Structure: relaxed

The value obtained for the density is 3.20 g cm⁻³. The calculation puts the formation energy at -2909 meV/atom.

Unit cell a=16.697 b=7.181 c=9.952 alpha=90.00 beta=126.36 gamma=90.00
Space group C2/c (No. 15)
Asymmetric unit:
1 Li 0.000 0.200 0.250
2 Ce 0.000 0.303 0.750
3 P 0.139 0.059 0.164
4 P 0.149 0.338 0.597
5 O 0.067 0.006 0.203
6 O 0.076 0.398 0.418
7 O 0.114 0.219 0.050
8 O 0.129 0.383 0.722
9 O 0.162 0.116 0.591
10 O 0.244 0.090 0.344

***

4.
Compound: SiSn2S2O12
Source: the Materials Project
Functional: PBE
Structure: relaxed

The value obtained for the density is 3.36 g cm⁻³. The calculation puts the formation energy at -2071 meV/atom.

Unit cell a=15.276 b=8.812 c=22.997 alpha=90.00 beta=90.07 gamma=90.00
Space group Cc (No. 9)
Asymmetric unit:
1 Si 0.000 0.141 0.000
2 Si 0.174 0.350 0.167
3 Si 0.195 0.290 0.833
4 Sn 0.029 0.481 0.062
5 Sn 0.036 0.496 0.771
6 Sn 0.186 0.011 0.939
7 Sn 0.193 0.002 0.730
8 Sn 0.358 0.499 0.896
9 Sn 0.358 0.500 0.104
10 S 0.025 0.213 0.665
11 S 0.046 0.147 0.333
12 S 0.212 0.349 0.499
13 S 0.339 0.142 0.334
14 S 0.362 0.204 0.001
15 S 0.382 0.142 0.668
16 O 0.006 0.306 0.718
17 O 0.006 0.325 0.004
18 O 0.033 0.313 0.326
19 O 0.038 0.308 0.613
20 O 0.086 0.078 0.281
21 O 0.095 0.058 0.996
22 O 0.104 0.120 0.673
23 O 0.104 0.132 0.385
24 O 0.105 0.388 0.828
25 O 0.114 0.374 0.109
26 O 0.122 0.409 0.507
27 O 0.133 0.430 0.224
28 O 0.178 0.187 0.890
29 O 0.184 0.168 0.177
30 O 0.209 0.183 0.489
31 O 0.213 0.188 0.774
32 O 0.249 0.427 0.448
33 O 0.266 0.371 0.552
34 O 0.270 0.430 0.157
35 O 0.281 0.397 0.842
36 O 0.283 0.123 0.282
37 O 0.286 0.099 0.994
38 O 0.294 0.074 0.673
39 O 0.299 0.076 0.387
40 O 0.341 0.298 0.053
41 O 0.349 0.308 0.340
42 O 0.375 0.308 0.661
43 O 0.377 0.296 0.948
44 O 0.420 0.068 0.616
45 O 0.424 0.067 0.325
46 O 0.436 0.115 0.721
47 O 0.440 0.386 0.442
48 O 0.443 0.115 0.011
49 O 0.447 0.385 0.160
50 O 0.457 0.435 0.559
51 O 0.461 0.426 0.841

***

5.
Compound: CeDyMg2
Source: the Materials Project
Functional: PBE
Structure: relaxed

The value obtained for the density is 5.26 g cm⁻³. The calculation puts the formation energy at -11 meV/atom.

Unit cell a=7.627 b=7.627 c=7.627 alpha=90.00 beta=90.00 gamma=90.00
Space group Fm-3m (No. 225)
Asymmetric unit:
1 Ce 0.000 0.000 0.000
2 Dy 0.000 0.000 0.500
3 Mg 0.250 0.250 0.250

***

6.
Compound: Li2TiP3O10
Source: the Materials Project
Functional: PBE
Structure: relaxed

The value obtained for the density is 2.14 g cm⁻³. The calculation puts the formation energy at -2748 meV/atom.

Unit cell a=12.262 b=8.056 c=9.983 alpha=90.00 beta=98.04 gamma=90.00
Space group P2_1/c (No. 14)
Asymmetric unit:
1 Li 0.061 0.112 0.088
2 Li 0.350 0.048 0.119
3 Ti 0.331 0.642 0.869
4 P 0.169 0.714 0.567
5 P 0.230 0.072 0.587
6 P 0.439 0.575 0.194
7 O 0.054 0.643 0.561
8 O 0.169 0.595 0.126
9 O 0.170 0.222 0.623
10 O 0.208 0.722 0.428
11 O 0.250 0.615 0.670
12 O 0.254 0.058 0.441
13 O 0.349 0.077 0.685
14 O 0.416 0.670 0.062
15 O 0.422 0.667 0.323
16 O 0.445 0.001 0.282

***

7.
Compound: Ca3Sn4S11
Source: the Materials Project
Functional: PBE
Structure: relaxed

The value obtained for the density is 3.65 g cm⁻³. The calculation puts the formation energy at -1080 meV/atom. As for the polymorph energy (0 for the lowest one): 0.80 eV/f.u.

Unit cell a=9.101 b=9.894 c=10.424 alpha=99.04 beta=100.29 gamma=106.81
Space group P-1 (No. 2)
Asymmetric unit:
1 Ca 0.126 0.216 0.373
2 Ca 0.307 0.102 0.981
3 Ca 0.314 0.657 0.528
4 Sn 0.077 0.744 0.228
5 Sn 0.165 0.646 0.860
6 Sn 0.411 0.080 0.653
7 Sn 0.427 0.546 0.157
8 S 0.008 0.107 0.990
9 S 0.051 0.436 0.555
10 S 0.064 0.079 0.587
11 S 0.183 0.476 0.248
12 S 0.206 0.857 0.750
13 S 0.306 0.386 0.913
14 S 0.316 0.900 0.419
15 S 0.379 0.782 0.103
16 S 0.392 0.153 0.263
17 S 0.427 0.328 0.592
18 S 0.470 0.667 0.794

***

8.
Compound: TmGeRu
Source: the Materials Project
Functional: PBE
Structure: relaxed

The value obtained for the density is 10.30 g cm⁻³. The calculation puts the formation energy at -737 meV/atom.

Unit cell a=6.960 b=4.380 c=7.250 alpha=90.00 beta=90.00 gamma=90.00
Space group Pnma (No. 62)
Asymmetric unit:
1 Tm 0.010 0.250 0.192
2 Ge 0.206 0.250 0.607
3 Ru 0.157 0.750 0.438